Here is a relaxed Mg6TiVO8 crystal from the Materials Project database. Energies are from PBE with a Hubbard U.

Summary:
offset from the most stable computed form: 0.0000 eV/atom
total magnetization: 0.0627 μB per atom
E_form: -2.8281 eV per atom

abc: 4.2880 4.2880 8.6379
angles: 90.00 90.00 90.00
Space group P4/mmm (No. 123)
One atom of each set of equivalent atoms:
Mg 0.0000 0.0000 0.0000 x1
Mg 0.0000 0.5000 0.2480 x4
Mg 0.5000 0.5000 0.0000 x1
Ti 0.0000 0.0000 0.5000 x1
V 0.5000 0.5000 0.5000 x1
O 0.0000 0.0000 0.2444 x2
O 0.0000 0.5000 0.0000 x2
O 0.0000 0.5000 0.5000 x2
O 0.5000 0.5000 0.2450 x2

=====

Here is a relaxed Mg6TiVO8 crystal from the Materials Project database. Energies are from PBE with a Hubbard U.

Summary:
offset from the most stable computed form: 0.0291 eV/atom
total magnetization: 0.3101 μB per atom
E_form: -2.7990 eV per atom

abc: 4.3053 4.3053 8.6635
angles: 90.00 90.00 90.00
Space group P4/mmm (No. 123)
One atom of each set of equivalent atoms:
Mg 0.0000 0.0000 0.0000 x1
Mg 0.0000 0.0000 0.5000 x1
Mg 0.0000 0.5000 0.2490 x4
Ti 0.5000 0.5000 0.5000 x1
V 0.5000 0.5000 0.0000 x1
O 0.0000 0.0000 0.2502 x2
O 0.0000 0.5000 0.0000 x2
O 0.0000 0.5000 0.5000 x2
O 0.5000 0.5000 0.2490 x2

=====

Here is a relaxed MgTiV3O8 crystal from the Materials Project database. Energies are from PBE with a Hubbard U.

Summary:
offset from the most stable computed form: 0.0222 eV/atom
total magnetization: 0.3844 μB per atom
E_form: -2.7231 eV per atom

abc: 12.3923 3.8832 6.9065
angles: 90.00 105.30 90.00
Space group Cm (No. 8)
One atom of each set of equivalent atoms:
Mg 0.0000 0.0000 0.0000 x2
Ti 0.4688 0.0000 0.6911 x2
V 0.0774 0.5000 0.3325 x2
V 0.2730 0.5000 0.6929 x2
V 0.3661 0.5000 0.2778 x2
O 0.0315 0.5000 0.9805 x2
O 0.0325 0.0000 0.2944 x2
O 0.1124 0.5000 0.6358 x2
O 0.2375 0.5000 0.3797 x2
O 0.3130 0.0000 0.7010 x2
O 0.3285 0.5000 0.0198 x2
O 0.4091 0.0000 0.3653 x2
O 0.4476 0.5000 0.6923 x2

=====

Here is a relaxed MgTiV3O8 crystal from the Materials Project database. Energies are from PBE with a Hubbard U.

Summary:
offset from the most stable computed form: 0.0085 eV/atom
total magnetization: 0.3846 μB per atom
E_form: -2.7369 eV per atom

abc: 12.2591 3.9230 6.7521
angles: 90.00 106.49 90.00
Space group Cm (No. 8)
One atom of each set of equivalent atoms:
Mg 0.0000 0.0000 0.0000 x2
Ti 0.2960 0.5000 0.2754 x2
V 0.0021 0.5000 0.3256 x2
V 0.2103 0.5000 0.7019 x2
V 0.3999 0.0000 0.6956 x2
O 0.0382 0.5000 0.6322 x2
O 0.1714 0.5000 0.3883 x2
O 0.2320 0.5000 0.0133 x2
O 0.2470 0.0000 0.7132 x2
O 0.3364 0.0000 0.3603 x2
O 0.3862 0.5000 0.7112 x2
O 0.4649 0.5000 0.2740 x2
O 0.4825 0.0000 0.9930 x2

=====

Number 1: theoretical density 3.9 g/cm³. Number 2: theoretical density 3.9 g/cm³. Number 3: theoretical density 3.7 g/cm³. Number 4: theoretical density 3.8 g/cm³.